(1)
Computed, not measured: crystalline BaZn2H16O11 at its relaxed geometry at the PBE level of DFT.

For the spin magnetization, the calculation gives 0.002 μB/cell. For the energy relative to the lowest polymorph listed for this composition, the calculation gives 0.000 eV per atom. For the total energy, the calculation gives -149.76 eV/f.u. Its energy relative to the elements is -44.2 eV/f.u.

Cell and atoms, written as extended XYZ:
```
120
Lattice="1.057 -5.839 2.028 -4.913 4.274 9.186 -14.576 -4.602 -5.653" Properties=species:S:1:pos:R:3 pbc="T T T"
Ba -1.269 -2.769 4.495
O -1.520 -2.432 1.598
H -6.152 0.516 3.715
H -17.161 -0.447 4.476
H -15.057 -1.758 5.282
O -16.912 -3.735 3.963
O -14.478 -2.262 2.312
Ba -9.985 -4.219 4.659
Zn -7.794 1.531 5.116
H -18.288 -1.435 3.957
O -5.403 -4.398 5.668
H -13.783 0.445 4.565
H -6.693 -4.810 4.423
O -5.871 -1.459 4.677
H -11.153 -3.936 -2.886
O -11.205 -3.785 -1.915
H -5.595 -1.227 2.825
H -0.143 -4.733 1.604
O -10.381 0.300 7.322
H -10.866 -6.932 -1.965
H -7.545 -1.760 4.124
H -6.335 -3.601 -1.606
H -10.171 -1.440 7.061
H -12.837 -4.941 2.737
O -9.975 -2.416 7.076
H -1.270 -5.721 1.085
O -6.726 -3.999 1.442
O -13.029 -1.770 -0.107
H -11.813 -1.308 4.566
O -5.611 -6.811 0.821
H -13.593 -2.406 6.669
H -9.872 0.435 5.441
O -3.093 -3.232 6.698
O -4.239 -0.898 7.398
Zn -13.489 -2.951 3.903
O -13.204 -5.009 -4.568
H -2.009 -0.318 1.973
Zn -10.637 -7.699 0.445
O -7.401 -5.019 3.757
H -12.801 0.763 5.717
H -11.309 -1.607 2.671
O -2.656 0.372 2.211
Ba -17.163 -3.399 1.066
H -6.618 -4.859 0.995
O -9.947 -4.319 1.764
O -8.456 -3.752 -1.515
Ba -8.446 -1.949 0.902
H -2.306 -2.787 1.095
H -4.536 -3.979 4.044
H -14.315 -5.258 0.947
H -14.693 -4.729 6.232
O -9.020 -6.723 0.978
H -3.904 -3.696 6.345
H -4.838 -3.761 -1.108
H -3.374 -4.410 0.279
H -8.261 -4.728 -1.500
Zn -6.032 -0.999 6.608
Zn -14.175 -6.254 4.446
O -9.411 0.556 4.583
H -16.125 -3.381 4.466
H -9.449 -3.717 -1.648
O -12.560 -4.708 0.884
O -3.173 -0.597 4.588
O -15.557 0.155 4.308
O -5.227 -1.159 10.129
H -8.560 -6.602 0.120
H -5.635 -2.407 4.724
H -13.061 -9.330 -2.553
H -4.116 -0.910 4.614
H -12.767 -7.851 -2.126
H -8.912 -0.977 4.096
O -12.820 0.643 4.741
O -6.918 0.802 6.787
H -14.527 -2.471 -0.784
H -12.096 -2.566 7.168
H -17.590 -3.836 4.669
Zn -12.399 -5.169 -1.047
O -5.489 -1.304 1.845
O -15.775 -6.540 3.350
O -7.226 -2.382 7.477
O -14.755 -2.679 5.428
H -3.739 -1.438 -0.671
H -5.370 3.162 8.114
H -9.519 -5.191 1.466
H -10.886 -4.408 1.437
H -4.648 -6.613 0.996
O -2.874 -6.322 1.253
H -3.034 -0.183 3.667
H -14.969 -3.825 -1.457
H -7.278 -2.232 8.447
O -14.193 -5.270 -1.837
H -7.122 -4.561 2.890
H -13.895 -2.188 1.517
O -11.030 -1.149 1.804
O -15.258 -5.571 0.973
H -8.982 -2.451 7.209
O -11.705 -2.169 4.120
H -0.842 -2.332 0.892
Zn -4.256 0.086 1.115
O -11.514 -6.969 -1.226
H -11.738 -1.357 1.138
H -12.796 -3.761 0.837
H -13.997 -5.233 -2.798
O -3.953 -3.905 3.249
H -3.462 -2.343 7.019
H -16.422 -5.850 3.588
H -5.664 1.683 7.687
O -13.427 -8.408 -2.634
Zn -4.942 -3.217 1.658
H -7.565 0.764 7.527
H -5.630 -6.931 -0.156
O -8.050 -6.468 -1.760
O -5.004 2.241 8.195
O -3.676 -3.489 0.133
O -12.942 -4.864 3.716
O -8.484 -1.848 3.797
H -15.398 -5.984 1.895
O -15.338 -2.935 -1.136
H -4.434 -0.935 8.359
H -12.279 -6.684 1.846
```

(2)
Computed, not measured: crystalline Ba2ZnH6O6 at its relaxed geometry at the PBE level of DFT.

For the spin magnetization, the calculation gives 0.000 μB/cell. For the energy relative to the lowest polymorph listed for this composition, the calculation gives 0.000 eV per atom. For the total energy, the calculation gives -69.16 eV/f.u. Its energy relative to the elements is -18.1 eV/f.u.

Cell and atoms, written as extended XYZ:
```
30
Lattice="5.926 0.000 -1.359 0.000 5.698 0.000 -1.160 0.000 10.788" Properties=species:S:1:pos:R:3 pbc="T T T"
Ba -0.150 2.927 2.670
H 5.785 1.349 -1.289
O 0.709 1.352 10.340
O 4.057 4.346 -0.911
O 4.252 1.497 4.266
O 2.058 2.932 2.128
H 2.243 1.500 4.784
O 0.515 4.201 5.163
O 4.441 5.615 6.843
H -1.019 4.349 10.719
Ba 2.533 0.078 2.045
H 4.102 2.037 3.450
O 0.325 0.083 2.586
O -0.046 5.669 7.823
Zn 2.963 2.849 -0.679
O 2.709 2.766 7.301
Zn -0.580 0.000 5.394
Ba 4.916 2.771 6.760
H 2.524 4.198 4.645
O 4.813 0.030 1.607
H 0.559 0.812 9.523
H 3.285 4.333 4.566
H 1.482 1.365 4.864
O 3.496 2.879 1.749
H 4.207 4.887 -0.094
H 3.865 1.484 9.579
O 1.270 2.820 7.680
H 0.901 4.214 -0.149
Ba 2.233 5.620 7.385
H 0.664 3.661 5.980
```

(3)
Computed, not measured: crystalline Ba2ZnH6O6 at its relaxed geometry at the PBE level of DFT.

For the spin magnetization, the calculation gives 0.001 μB/cell. For the energy relative to the lowest polymorph listed for this composition, the calculation gives 0.081 eV per atom. For the total energy, the calculation gives -67.95 eV/f.u. Its energy relative to the elements is -16.9 eV/f.u.

Cell and atoms, written as extended XYZ:
```
30
Lattice="5.917 0.000 0.000 0.000 9.452 0.000 0.000 8.544 9.741" Properties=species:S:1:pos:R:3 pbc="T T T"
O 1.647 13.278 8.973
O 5.005 15.498 7.684
H 4.122 4.502 4.259
H 1.795 13.494 5.481
Zn 0.000 4.726 0.000
H 5.078 9.318 9.554
Zn 2.958 8.998 4.870
Ba 2.881 2.735 0.087
O 4.270 4.718 0.768
H 4.209 2.675 2.592
O 3.281 11.453 4.176
H 4.666 6.947 7.462
H 2.120 12.950 5.057
O 0.322 2.271 0.694
O 5.595 15.725 9.047
O 0.912 2.498 2.057
H 1.250 11.049 2.278
Ba 3.036 15.261 9.653
O 4.605 8.990 5.638
H 1.163 9.222 0.611
H 3.797 5.046 4.683
H 4.754 8.774 9.129
O 2.636 6.543 5.564
Ba 0.077 7.007 4.958
H 1.708 15.321 7.149
Ba 5.840 10.989 4.783
O 3.871 11.226 2.813
H 0.839 8.678 0.187
O 2.046 6.770 6.927
O 1.312 9.006 4.103
```

(4)
Computed, not measured: crystalline BaZn2H16O11 at its relaxed geometry at the PBE level of DFT.

For the spin magnetization, the calculation gives 3.553 μB/cell. For the energy relative to the lowest polymorph listed for this composition, the calculation gives 0.524 eV per atom. For the total energy, the calculation gives -134.04 eV/f.u. Its energy relative to the elements is -28.4 eV/f.u.

Cell and atoms, written as extended XYZ:
```
120
Lattice="-12.229 -7.972 11.369 4.786 -2.180 3.620 0.575 9.714 7.430" Properties=species:S:1:pos:R:3 pbc="T T T"
O -1.227 2.437 7.795
O -4.966 -0.967 10.542
H -6.869 -0.680 20.470
H 0.624 6.305 9.153
Zn -2.964 1.774 7.034
O -9.899 -2.745 12.526
O 0.124 6.933 8.599
H -10.575 -5.153 12.437
Zn -1.498 7.399 9.654
H -5.974 0.864 17.831
H -5.520 -4.232 15.514
H -5.630 1.264 11.547
H 0.002 0.242 1.949
Ba -3.975 -3.483 10.151
O -5.254 2.048 18.247
O 0.702 -3.881 8.076
H -7.673 2.624 14.876
H -9.582 1.667 16.075
H -5.663 -0.502 16.998
H -2.480 -0.388 8.056
H -3.125 -2.034 4.575
H -2.963 -1.910 12.365
H 3.816 6.262 10.156
O -5.124 -3.959 12.436
O -1.164 -1.915 7.261
O 1.394 4.066 8.040
O 3.031 2.308 9.893
H 0.868 1.361 12.044
H -0.512 -2.705 9.922
O -9.570 0.701 18.805
H 3.707 4.715 9.982
H -0.539 2.946 4.096
H -7.858 -7.874 14.674
O -0.520 -0.351 4.862
O -2.011 -2.824 7.224
O -1.744 3.521 9.983
H -6.305 -5.181 9.310
H -4.231 -2.119 17.023
O -7.882 -4.613 13.200
H -5.396 -3.428 13.311
H -0.893 -1.302 4.588
O -7.569 3.443 14.343
O -6.348 -0.087 17.557
H 2.145 2.482 10.280
H -7.299 -0.068 20.379
H 0.805 -3.061 7.543
H -3.905 1.473 10.054
O -5.703 1.477 15.158
H -8.339 -1.838 15.184
Zn 2.718 0.936 8.142
H -6.453 -2.328 14.619
O -1.901 0.530 11.877
H -1.472 2.990 9.108
Zn -5.369 -7.837 12.765
H -6.007 -1.132 10.826
H -10.684 -6.700 12.263
Zn 0.597 4.223 14.097
O -1.865 0.835 13.310
O -3.516 -0.436 14.572
H -0.620 6.425 11.974
H -4.247 5.199 11.525
O 3.697 -0.209 4.157
H -1.204 0.064 5.421
O -10.361 -6.005 12.870
H -6.329 -3.384 18.323
H -5.255 -4.906 12.636
Ba 1.462 1.215 4.237
O -5.003 -1.273 9.109
O -1.376 -2.277 10.093
O 2.195 4.083 5.271
H -1.237 -1.702 10.872
O 3.494 5.567 9.549
O -6.991 -7.371 13.820
O -7.381 -1.400 11.194
H -0.414 1.890 7.800
H -4.132 -6.725 12.949
O -2.698 4.297 15.215
H -9.012 -2.919 12.139
O -5.641 -2.874 14.624
H -2.646 0.193 13.811
Ba -2.892 3.046 12.268
H 1.472 1.400 7.235
Zn -7.464 -4.660 8.322
O 0.513 0.962 11.225
H -2.486 -2.492 12.413
H 2.509 -1.779 4.477
H -0.562 4.744 13.109
O -9.099 2.149 16.774
H -2.621 -5.637 10.894
H 2.714 -2.105 6.344
H -4.382 2.054 10.006
Zn -9.585 -1.373 14.277
H -6.356 2.267 12.497
H -3.743 1.596 17.844
O -4.169 -4.735 7.204
H -6.247 -6.863 10.445
Ba -8.330 -1.652 18.182
O -8.262 -4.504 14.379
H -4.221 -0.631 8.608
H 0.990 7.436 7.745
H -2.637 1.682 5.396
H -7.492 -6.743 13.266
O -10.565 -0.229 18.262
O 1.014 4.175 9.219
O -9.062 -4.521 17.148
O -3.351 -0.002 7.847
H -2.735 6.287 9.470
Zn -3.903 -2.212 15.385
O -5.492 1.839 12.326
H -9.377 1.341 17.942
H -7.735 -1.798 10.375
H -0.861 0.694 11.592
O -1.614 -2.486 4.172
O -4.856 2.386 15.195
H -4.388 -0.050 14.362
H -1.348 3.794 6.905
H -1.613 4.468 9.783
O 2.703 -1.138 3.614
H 0.431 -0.370 2.040
O 2.232 -2.587 5.645
```

(5)
Computed, not measured: crystalline Ba2H6Os at its relaxed geometry at the PBE level of DFT.

For the total energy, the calculation gives -40.10 eV/f.u. Its energy relative to the elements is -4.7 eV/f.u.

Cell and atoms, written as extended XYZ:
```
9
Lattice="-3.217 3.545 3.175 1.084 5.641 -0.003 -3.652 3.625 -2.552" Properties=species:S:1:pos:R:3 pbc="T T T"
Ba -4.339 9.609 0.465
Ba -1.446 3.203 0.155
H -0.623 5.969 0.131
H -2.707 8.038 -1.325
H -5.162 6.842 0.488
Os 0.000 0.000 0.000
H -3.078 4.773 1.945
H -3.326 4.819 -1.323
H -2.459 7.992 1.943
```

(6)
Computed, not measured: crystalline BaReH7 at its relaxed geometry at the PBE level of DFT.

For the spin magnetization, the calculation gives 0.000 μB/cell. For the energy relative to the lowest polymorph listed for this composition, the calculation gives 0.005 eV per atom. For the total energy, the calculation gives -39.17 eV/f.u. Its energy relative to the elements is -2.3 eV/f.u.

Cell and atoms, written as extended XYZ:
```
18
Lattice="0.500 0.000 3.667 5.014 0.000 0.690 0.000 9.995 0.000" Properties=species:S:1:pos:R:3 pbc="T T T"
H 3.444 8.429 2.517
H 3.413 4.211 2.910
H 3.413 0.787 2.910
H 0.606 7.496 1.735
Re 2.336 7.496 1.683
H 1.711 2.499 3.529
Ba 0.000 0.000 0.000
H 2.071 1.566 1.839
H 1.923 7.496 3.427
H 3.592 2.499 0.930
Ba 0.000 4.997 0.000
H 2.071 3.432 1.839
H 3.444 6.563 2.517
H 4.908 2.499 2.622
H 3.803 7.496 0.827
Re 3.179 2.499 2.673
H 2.101 9.208 1.446
H 2.101 5.784 1.446
```

> total energy of number 3 (Ba2ZnH6O6)?

-67.95 eV/f.u.

> total energy of number 4 (BaZn2H16O11)?

-134.04 eV/f.u.